The following is a r²SCAN calculation of a geometry-optimized Bi8Te7 structure, from the Materials Project database.

Unit cell a=4.459 b=4.459 c=94.040 alpha=90.00 beta=90.00 gamma=120.00
Positions (direct):
1 Te 0.000 0.000 0.806
2 Te 0.333 0.667 0.695
3 Te 0.333 0.667 0.960
4 Te 0.667 0.333 0.116
5 Te 0.333 0.667 0.422
6 Te 0.000 0.000 0.461
7 Te 0.000 0.000 0.266
8 Te 0.000 0.000 0.734
9 Te 0.667 0.333 0.845
10 Te 0.667 0.333 0.040
11 Te 0.333 0.667 0.618
12 Te 0.000 0.000 0.000
13 Te 0.000 0.000 0.194
14 Te 0.667 0.333 0.382
15 Te 0.333 0.667 0.884
16 Te 0.667 0.333 0.774
17 Te 0.000 0.000 0.539
18 Te 0.333 0.667 0.155
19 Te 0.667 0.333 0.578
20 Te 0.667 0.333 0.305
21 Te 0.333 0.667 0.226
22 Bi 0.667 0.333 0.509
23 Bi 0.667 0.333 0.914
24 Bi 0.000 0.000 0.931
25 Bi 0.000 0.000 0.069
26 Bi 0.667 0.333 0.177
27 Bi 0.333 0.667 0.086
28 Bi 0.000 0.000 0.335
29 Bi 0.667 0.333 0.713
30 Bi 0.667 0.333 0.648
31 Bi 0.667 0.333 0.244
32 Bi 0.333 0.667 0.021
33 Bi 0.333 0.667 0.823
34 Bi 0.333 0.667 0.287
35 Bi 0.000 0.000 0.665
36 Bi 0.333 0.667 0.491
37 Bi 0.000 0.000 0.134
38 Bi 0.000 0.000 0.866
39 Bi 0.667 0.333 0.443
40 Bi 0.333 0.667 0.756
41 Bi 0.000 0.000 0.600
42 Bi 0.667 0.333 0.979
43 Bi 0.333 0.667 0.352
44 Bi 0.000 0.000 0.400
45 Bi 0.333 0.667 0.557

Results
Crystal system: trigonal
Magnetization, μB per formula unit: 0.00

The following is a r²SCAN calculation of a geometry-optimized UI2O8 structure, from the Materials Project database.

Unit cell a=16.294 b=4.206 c=5.720 alpha=62.47 beta=90.00 gamma=90.00
Positions (direct):
1 O 0.771 0.051 0.509
2 O 0.936 0.919 0.617
3 O 0.131 0.666 0.251
4 O 0.941 0.684 0.198
5 O 0.064 0.081 0.383
6 O 0.229 0.949 0.491
7 O 0.441 0.316 0.302
8 O 0.869 0.334 0.749
9 O 0.436 0.081 0.883
10 O 0.631 0.334 0.249
11 O 0.271 0.949 0.991
12 O 0.559 0.684 0.698
13 O 0.369 0.666 0.751
14 O 0.564 0.919 0.117
15 O 0.059 0.316 0.802
16 O 0.729 0.051 0.009
17 I 0.163 0.109 0.207
18 I 0.337 0.109 0.707
19 I 0.837 0.891 0.793
20 I 0.663 0.891 0.293
21 U 0.500 0.500 0.000
22 U 0.000 0.500 0.500

Results
Crystal system: monoclinic
Magnetization, μB per formula unit: 0.00

The following is a r²SCAN calculation of a geometry-optimized Ti10Ga3Sb3 structure, from the Materials Project database.

Unit cell a=7.817 b=7.817 c=5.312 alpha=90.00 beta=90.00 gamma=120.00
Positions (direct):
1 Ga 0.613 0.000 0.500
2 Ga 0.000 0.613 0.500
3 Ga 0.387 0.387 0.500
4 Ti 0.667 0.333 0.740
5 Ti 0.249 0.000 0.500
6 Ti 0.751 0.751 0.500
7 Ti 0.667 0.333 0.260
8 Ti 0.761 0.000 0.000
9 Ti 0.000 0.761 0.000
10 Ti 0.333 0.667 0.260
11 Ti 0.333 0.667 0.740
12 Ti 0.000 0.249 0.500
13 Ti 0.239 0.239 0.000
14 Sb 0.398 0.000 0.000
15 Sb 0.602 0.602 0.000
16 Sb 0.000 0.398 0.000

Results
Crystal system: hexagonal
Magnetization, μB per formula unit: 0.00

The following is a r²SCAN calculation of a geometry-optimized Li2TlHg structure, from the Materials Project database.

Unit cell a=3.364 b=3.364 c=6.766 alpha=90.00 beta=90.00 gamma=90.00
Positions (direct):
1 Hg 0.000 0.000 0.000
2 Li 0.500 0.500 0.237
3 Li 0.500 0.500 0.763
4 Tl 0.000 0.000 0.500

Results
Crystal system: tetragonal
Magnetization, μB per formula unit: 0.00

The following is a r²SCAN calculation of a geometry-optimized PuF3 structure, from the Materials Project database.

Unit cell a=4.095 b=4.095 c=7.159 alpha=90.00 beta=90.00 gamma=120.00
Positions (direct):
1 F 0.000 0.000 0.250
2 F 0.667 0.333 0.079
3 F 0.000 0.000 0.750
4 F 0.333 0.667 0.921
5 F 0.667 0.333 0.421
6 F 0.333 0.667 0.579
7 Pu 0.667 0.333 0.750
8 Pu 0.333 0.667 0.250

Results
Crystal system: hexagonal
Magnetization, μB per formula unit: 5.00

The following is a r²SCAN calculation of a geometry-optimized ZrCo3B2 structure, from the Materials Project database.

Unit cell a=4.829 b=4.829 c=3.014 alpha=90.00 beta=90.00 gamma=120.00
Positions (direct):
1 B 0.667 0.333 0.000
2 B 0.333 0.667 0.000
3 Co 0.500 0.000 0.500
4 Co 0.000 0.500 0.500
5 Co 0.500 0.500 0.500
6 Zr 0.000 0.000 0.000

Results
Crystal system: hexagonal
Magnetization, μB per formula unit: 0.00
Energy above the most stable polymorph in this dataset, eV per atom: 0.0108

Number 1: formation enthalpy at 0 K -0.212 eV/atom. Number 2: formation enthalpy at 0 K -1.423 eV/atom. Number 3: formation enthalpy at 0 K -0.529 eV/atom. Number 4: formation enthalpy at 0 K -0.334 eV/atom. Number 5: formation enthalpy at 0 K -4.190 eV/atom. Number 6: formation enthalpy at 0 K -0.481 eV/atom.